1.
Computed, not measured: LiZnH3Cl3 after structural relaxation at the PBE level of DFT.

POSCAR file:
```
LiZnH3Cl3
1.0
-1.5437 -6.1631 -0.1037
3.3012 -0.9418 6.8296
-12.6598 3.0608 6.5415
H Cl Zn Li
12 12 4 4
Cartesian
-9.8316 0.3346 8.0121
-10.6611 0.5713 6.2960
-1.6837 -0.9985 8.1674
-2.5132 -0.7618 6.4512
-8.3891 -3.2823 6.8161
-10.2332 0.4886 7.1526
-0.2412 -4.6154 6.9714
-1.0707 -4.3787 5.2552
-9.2186 -3.0457 5.0999
-8.7986 -3.1264 5.9606
-0.6691 -4.5327 6.1147
-2.1037 -0.9177 7.3067
0.0281 -1.4592 4.0539
-4.4877 -3.6356 5.9366
-9.2866 -3.0538 12.6141
-4.7708 -0.8775 10.7314
-6.1315 -3.1666 2.5359
-2.4679 -3.8945 2.7947
-3.5439 -0.3662 3.8013
-6.4146 -0.4085 7.3307
-10.9304 -2.5849 9.2134
-7.3584 -3.6779 9.4660
-8.4343 -0.1496 10.4727
-1.6157 -0.9903 0.6532
-6.3436 0.2046 9.5109
-4.5587 -4.2487 3.7564
-9.0431 -2.4109 10.4550
-1.8592 -1.6332 2.8123
0.2740 -2.7602 5.9033
-3.6454 -5.0808 7.4778
-7.2568 1.0367 5.7895
-11.1762 -1.2839 7.3640
```

Calculated values
- ΔH_f (0 K) (meV/atom) = -744
- calculated total energy (hartree per atom) = -0.1057
- SG = Pnma (62)

***

2.
Computed, not measured: Li6Zr6HCl18 after structural relaxation at the PBE level of DFT.

POSCAR file:
```
Li6Zr6HCl18
1.0
4.9313 0.1580 8.5156
-7.3798 -6.5055 0.2724
6.0266 -1.7585 -7.5792
Cl Li Zr H
18 6 6 1
Cartesian
0.4467 -7.0212 -4.3987
4.5062 -1.9521 -4.2790
5.4653 -4.4243 -1.5817
4.4793 -0.9950 1.9620
-0.9011 -7.1110 -0.7533
-0.9280 -6.1539 5.4877
-4.0436 -5.1052 -0.1144
2.7999 -2.1254 -0.8464
7.6217 -3.0008 1.3231
2.3049 -5.8026 -1.2705
3.1315 -1.0848 5.6074
1.2733 -2.3034 2.4792
-1.8872 -3.6817 2.7904
0.9602 -3.3706 -3.5524
-0.5532 -3.5455 -0.4437
2.6180 -4.7354 4.7612
0.7782 -5.9806 2.0552
4.1314 -4.5605 1.6525
0.2111 -4.1408 4.1858
3.8419 -2.7632 3.6779
-1.7604 -5.6147 1.1397
3.3670 -3.9652 -2.9771
5.3386 -2.4913 0.0690
-0.2637 -5.3428 -2.4692
0.4317 -1.4730 -1.6536
3.1464 -6.6330 2.8623
2.0255 -0.3864 0.9157
4.4936 -6.4726 -0.0500
-0.9155 -1.6334 1.2587
1.5526 -7.7196 0.2930
0.0000 0.0000 0.0000
```

Calculated values
- ΔH_f (0 K) (meV/atom) = -2012
- calculated total energy (hartree per atom) = -0.1787
- SG = R-3 (148)

***

3.
Computed, not measured: LuH2ClO2 after structural relaxation at the PBE level of DFT.

POSCAR file:
```
LuH2ClO2
1.0
3.5115 0.0000 0.0000
0.0000 6.1883 0.0000
0.0000 1.6659 6.4030
Cl H O Lu
2 4 4 2
Cartesian
0.8779 2.3737 3.7182
2.6337 5.4805 2.6848
0.8779 5.1068 4.4717
2.6337 6.6731 4.9120
2.6337 2.7474 1.9313
0.8779 1.1812 1.4910
0.8779 4.7667 5.3938
0.8779 0.8102 0.5838
2.6337 7.0440 5.8193
2.6337 3.0876 1.0092
2.6337 3.2164 5.7307
0.8779 4.6379 0.6723
```

Calculated values
- ΔH_f (0 K) (meV/atom) = -2330
- calculated total energy (hartree per atom) = -0.2184
- SG = P2_1/m (11)

***

4.
Computed, not measured: LuH2ClO2 after structural relaxation at the PBE level of DFT.

POSCAR file:
```
LuH2ClO2
1.0
-1.5353 -2.8218 1.4000
0.9316 -3.1266 -5.2802
11.1905 -3.9489 4.3127
H Cl Lu O
8 4 4 8
Cartesian
6.6836 -6.4086 0.9909
3.9032 -3.4887 -0.5584
3.2601 -4.1928 1.7026
9.1183 -4.1871 3.7530
7.3267 -5.7044 -1.2701
1.4686 -5.7102 -3.3204
1.6117 -3.3283 -2.7481
8.9751 -6.5690 3.1806
9.0072 -5.7437 0.4936
3.6610 -4.6052 -3.0744
1.5797 -4.1536 -0.0611
6.9259 -5.2921 3.5070
10.1665 -8.2102 1.1793
4.5701 -6.2322 -0.9712
0.4204 -1.6871 -0.7467
6.0167 -3.6651 1.4037
9.8465 -7.0344 3.1981
5.8065 -5.9663 0.9206
10.8385 -7.4591 -0.9555
0.7404 -2.8629 -2.7656
6.5605 -5.5920 -1.8837
4.7803 -3.9310 -0.4881
-0.2517 -2.4382 1.3881
4.0264 -4.3053 2.3162
```

Calculated values
- ΔH_f (0 K) (meV/atom) = -2331
- calculated total energy (hartree per atom) = -0.2184
- SG = Pnma (62)

***

5.
Computed, not measured: MgH4Cl2O2 after structural relaxation at the PBE level of DFT.

POSCAR file:
```
MgH4Cl2O2
1.0
0.0000 -0.9617 -3.5760
-4.2408 4.0256 0.0000
4.2408 4.0256 0.0000
H Mg O Cl
4 1 2 2
Cartesian
1.6072 4.6106 -0.5324
-1.6072 2.4788 -3.0436
1.6072 2.4788 -3.0436
-1.6072 4.6106 -0.5324
0.0000 0.0000 0.0000
-2.1959 4.0256 0.0000
2.1959 4.0256 0.0000
0.0000 1.2319 -2.2082
0.0000 5.8576 -1.3678
```

Calculated values
- ΔH_f (0 K) (meV/atom) = -1498
- calculated total energy (hartree per atom) = -0.1669
- SG = C2/m (12)

***

6.
Computed, not measured: MgH16Cl2O8 after structural relaxation at the PBE level of DFT.

POSCAR file:
```
MgH16Cl2O8
1.0
-6.0402 -4.1332 1.0474
6.4411 -7.6183 7.0820
-3.1887 7.4167 10.8785
H O Cl Mg
64 32 8 4
Cartesian
-1.9007 -3.7399 9.0538
-4.9530 -5.1228 3.3707
1.3055 -1.4873 6.5647
-0.2126 -5.8317 14.7817
-2.0376 -1.0567 1.4969
-3.2509 -4.9074 14.0440
-0.0194 -9.4886 9.7302
2.1680 -2.1548 12.7387
0.2298 1.2445 7.0301
-0.7381 -5.3067 9.6373
-4.0659 2.5372 12.6183
-1.6150 -2.4469 15.8653
2.6413 -6.5861 10.4325
-5.9944 -2.0684 9.4179
0.6713 -5.2978 9.0273
-6.5024 3.1528 11.1438
0.6737 -2.2929 7.7623
0.6140 -4.5055 11.0629
-3.4018 0.1708 7.9450
3.2067 -2.2664 9.5900
-0.7502 -3.2781 17.5110
2.1330 -2.1963 16.5590
-1.0475 -9.7321 6.9517
0.0202 -1.2952 10.9943
2.1652 0.7881 15.6372
-2.0497 0.9720 9.3707
1.1749 -3.2125 4.2050
-2.1785 -2.3742 4.1964
1.2781 -6.8719 6.3897
-2.5752 1.4969 4.2262
-4.0933 -2.8475 12.4432
-1.3552 -4.3897 5.8624
-1.1728 -1.8879 3.1426
-0.8871 -0.5948 9.9541
-3.9627 -1.1223 14.8029
-1.9703 -8.2447 8.2597
0.2367 -3.8175 12.4368
-0.6093 -1.9605 14.8115
3.3449 -3.7119 13.3197
-3.0176 -5.5793 11.9778
-4.9558 -2.1799 6.2692
-1.4317 -3.9820 2.9189
-4.9208 -2.1384 2.4489
-1.7403 5.3973 12.0562
-0.2683 -7.3145 11.6727
0.4631 0.5727 4.9639
-1.6720 -5.9282 5.9850
3.7147 -7.4875 7.8641
-3.4615 -2.0419 11.2456
3.0450 -5.0147 6.5107
-1.4326 0.0550 13.1455
-1.3561 -0.3527 16.0890
-1.1158 1.5935 13.0229
2.1944 -4.1738 4.8625
-5.4291 2.2514 8.5754
-0.8175 3.9099 10.7482
-3.0245 -0.5173 6.5711
-2.5195 2.9798 7.3352
-6.1327 -0.6229 5.6882
-4.9822 -0.1610 14.1454
-2.7684 5.1538 9.2777
-3.4591 0.9630 9.9807
-5.8328 0.6799 12.4972
-2.8080 -3.0395 8.0136
-2.0127 -2.3876 3.2097
0.8458 -1.2524 1.4026
0.6462 -10.1911 9.5160
-3.1148 -5.5185 10.9834
-5.8061 -2.6555 6.3716
1.3859 -6.8957 5.4084
0.0048 -4.6922 9.4635
1.3875 -4.1783 4.3122
3.0183 -1.6792 12.6363
-3.1233 2.9796 6.5448
-0.9860 -5.2951 5.6996
1.3389 -1.6116 7.5475
-4.1267 -2.7232 11.4604
-6.5860 0.0895 12.7064
-0.7751 -1.9471 15.7982
-4.1737 2.5610 13.5995
0.3355 -7.3143 12.4631
0.8671 -4.4596 12.0303
-2.8274 -3.4658 8.9121
-2.7926 0.3575 9.5444
2.9711 -6.5076 11.3639
0.0396 -0.8690 10.0958
-3.6336 -3.0823 17.6053
3.7982 -4.4243 6.3015
-1.8018 0.9603 13.3083
-3.6549 0.1248 6.9776
-4.1753 -0.1565 14.6957
-5.7589 2.1728 7.6440
-3.4340 5.8563 9.4919
4.5504 -8.0268 7.8632
0.3270 1.1837 8.0245
-7.3382 3.6921 11.1447
-4.2240 -3.1637 14.5779
1.4362 -1.1711 4.4300
-4.6024 2.5903 10.5441
-1.2017 3.7716 8.7218
-1.9645 -2.3523 6.2522
-1.5861 -8.1063 10.2861
-0.8233 -1.9824 12.7557
1.8146 -6.9251 8.4638
1.6262 -0.1008 8.9803
0.2004 -5.8757 4.0647
-4.6144 1.6418 5.9630
0.0000 0.0000 0.0000
```

Calculated values
- ΔH_f (0 K) (meV/atom) = -1327
- calculated total energy (hartree per atom) = -0.1762
- SG = Pbca (61)

***

7.
Computed, not measured: RbMgH12Cl3O6 after structural relaxation at the PBE level of DFT.

POSCAR file:
```
RbMgH12Cl3O6
1.0
6.6207 0.0000 0.0000
0.2426 6.7271 0.0000
0.4490 0.0974 13.5152
O H Mg Cl Rb
12 24 2 6 2
Cartesian
3.0788 4.1317 12.0703
1.8396 3.0218 9.6393
4.2916 1.6884 10.8920
4.3026 5.3607 2.7197
1.6419 4.1045 2.6606
3.2718 5.4891 9.4156
5.6270 4.2845 10.7348
3.1812 4.2204 5.2295
4.5052 2.9660 8.3411
5.5460 2.9605 3.9298
4.0081 2.7651 1.4121
2.7760 1.6861 3.9477
1.4859 3.1984 8.7432
4.3016 2.0691 7.9921
3.1172 1.1782 4.7195
2.4549 5.9480 9.7329
1.2408 2.3508 10.0395
5.2942 3.2821 7.8376
2.2347 3.8847 12.5301
6.0634 5.1232 10.4630
3.4470 5.0784 5.6433
3.9456 1.1854 11.6627
4.7779 3.0666 0.8631
4.0244 5.8041 1.8811
6.1081 3.9580 11.5451
3.5136 5.9159 8.5621
3.4628 4.8942 12.5631
1.4309 5.0645 2.6825
5.0850 1.1932 10.5649
0.8211 3.6854 3.0048
2.4013 3.8880 5.7344
5.8580 2.0453 3.6932
3.6159 1.9881 0.9464
5.8649 3.1285 4.8511
1.9855 1.1933 3.6090
5.1477 5.7987 2.9916
3.7692 3.6009 10.2019
3.5649 3.5049 3.2976
7.0072 3.5066 13.3404
3.1573 0.0330 0.0622
6.9064 0.2014 10.0407
6.7313 0.1906 3.2385
3.6448 0.2254 6.6402
0.4453 3.5063 6.6738
0.2887 0.1099 6.7127
6.9680 0.2392 13.3926
```

Calculated values
- ΔH_f (0 K) (meV/atom) = -1428
- calculated total energy (hartree per atom) = -0.1713
- SG = P1 (1)

***

8.
Computed, not measured: Mg2H32Ru2Cl10O17 after structural relaxation at the PBE level of DFT.

POSCAR file:
```
Mg2H32Ru2Cl10O17
1.0
-8.3976 0.0000 0.8771
0.1056 0.0000 -10.7057
0.0000 -16.5987 0.0000
H Cl O Mg Ru
64 20 34 4 4
Cartesian
-2.8479 -0.4925 -3.9012
-2.7455 -10.9423 -9.4969
-1.6420 -6.6500 -6.3921
-0.6413 -8.9127 -2.1656
-6.1983 -12.5117 -0.1753
-2.6463 -2.6181 -1.7737
-1.0624 -10.1485 -4.8975
-6.3669 -4.9198 -8.9605
-7.6399 -13.9922 -2.3050
-2.0757 -14.0107 -9.4062
-6.4717 -3.4903 -8.2725
-7.2994 -12.9257 -4.6031
-1.0096 -14.7496 -10.2504
-7.7036 -0.6133 -2.3102
-0.5885 -15.9855 -7.5184
-7.2825 -1.8491 0.4218
-2.0401 -15.1381 -4.8188
-7.5871 -10.9060 -7.6578
-0.9927 -3.6730 -5.2255
-0.7050 -5.6928 -2.1708
-5.4442 -16.1063 -5.9275
-6.1455 -12.3865 -5.5281
-0.6522 -2.6066 -7.5236
-1.9873 -9.7601 -10.1716
-5.7792 -15.8087 -4.4286
-6.1636 -5.7113 -5.7752
-5.6986 -10.9175 -2.7021
-7.6483 -15.7190 -5.7997
-1.8204 -13.1085 -1.5561
-5.6458 -13.9807 -8.0550
-2.7951 -7.8069 -9.2540
-6.2164 -2.5881 -0.4224
-7.7011 -9.1791 -0.4469
-0.5317 -11.2297 -9.3541
-5.4969 -8.7919 -0.5746
-6.3048 -6.8387 0.3430
-6.2520 -1.4607 -5.0098
-7.7076 -2.9303 -5.8274
-6.6501 -9.9487 -3.4366
-7.2297 -6.4502 -4.9311
-1.7676 -11.7897 -6.9089
-2.5935 -5.6813 -7.1265
-2.5129 -0.7900 -5.4000
-0.9399 -4.6264 -10.5784
-7.3522 -11.9724 0.7498
-5.4938 -2.6429 -5.6846
-5.5466 -5.6564 -0.3317
-0.6438 -0.8797 -4.0289
-2.5657 -7.5094 -0.0472
-2.1284 -10.8875 -4.0534
-1.9252 -11.6790 -0.8681
-2.7983 -13.9558 -4.1440
-2.1466 -4.2123 -4.3005
-6.5245 -4.8091 -2.9197
-0.5910 -7.4197 -9.3817
-6.4197 -3.3796 -3.6076
-0.5845 -13.6684 -4.0012
-1.8724 -13.2191 -6.2210
-7.6508 -7.6861 -7.6630
-5.7264 -9.0894 -9.7815
-1.6948 -1.6493 -1.0392
-7.7604 -5.3691 -0.4745
-2.0938 -4.0871 -9.6533
-6.5973 -14.9494 -8.7894
-6.2683 -7.1780 -2.9877
-2.0766 -15.4774 -1.4881
-3.7891 -9.2078 -2.0099
-4.0588 -5.2436 -4.6755
-6.2155 -1.1213 -8.3406
-3.7363 -15.6903 -7.3627
-4.7725 -14.2628 -2.9542
-4.2332 -11.3551 -5.1531
-6.7741 -9.3104 -6.1644
-3.5195 -2.3359 -6.8744
-2.0238 -9.4207 -6.8409
-6.8269 -15.5877 -0.8116
-1.5180 -7.2884 -3.6642
-4.2860 -13.5430 0.1997
-4.0061 -3.0557 -10.0284
-3.5723 -5.9635 -1.5215
-1.4652 -1.0110 -9.0171
-4.7198 -10.6353 -8.3071
-4.5558 -0.9084 -2.4659
-4.5030 -7.3909 -7.8188
-6.1694 -8.6155 0.1294
-6.2763 -2.4519 -5.1204
-1.3054 -3.6981 -4.2909
-6.5930 -14.1547 -8.2215
-1.6463 -5.8553 -6.9599
-0.1859 -3.3173 -7.0257
-8.1464 -7.0039 -8.1667
-1.6062 -12.1609 -1.6799
-2.1754 -0.3161 -4.6052
-7.1338 -5.8351 -5.6879
-0.1457 -9.5949 -1.6619
-7.0395 -11.9975 -0.1849
-1.1055 -14.1345 -9.4935
-6.6458 -10.7435 -2.8687
-4.1460 -8.2994 -4.9143
-6.6858 -4.4378 -8.1488
-0.2387 -4.9820 -1.6729
-6.1166 -16.2827 -5.2234
-1.5535 -12.7372 -7.0327
-2.1227 -7.9833 -9.9581
-1.1583 -10.7636 -4.1407
-6.9867 -12.9006 -5.5377
-6.3291 -5.8475 0.2325
-8.0534 -11.6167 -8.1557
-2.0158 -14.1469 -4.7082
-1.2526 -4.6013 -9.6437
-8.1992 -1.2955 -2.8139
-0.0929 -15.3032 -7.0147
-8.1062 -13.2814 -2.8029
-1.6991 -2.4441 -1.6071
-7.1866 -2.4643 -0.3351
-6.7386 -3.8615 -2.7959
-4.1988 0.0000 0.4385
-1.9630 -10.7512 -10.0611
0.0042 -5.1640 -8.0796
-0.0486 -3.1354 -2.7267
-8.2435 -13.4633 -7.1019
-8.2963 -11.4348 -1.7491
-4.4253 -15.6029 -1.0328
-4.3725 -9.2952 -6.3856
-3.9196 -7.3035 -3.4430
-3.8668 -0.9959 -8.7958
```

Calculated values
- ΔH_f (0 K) (meV/atom) = -1259
- calculated total energy (hartree per atom) = -0.1753
- SG = P2_1/c (14)

***

So what do the calculations give for V? Going down the list: 177.0 681.3 69.6 68.7 122.1 306.3 301.0 745.4 Å³/f.u..
So what do the calculations give for total energy after the MP2020 corrections? Going down the list: -3.105 -5.219 -6.172 -6.173 -4.694 -4.999 -4.842 -4.956 eV per atom.